(1)
{"formula": "HoCoGe2", "functional": "r2SCAN", "state": "optimized geometry", "total_energy_ev_per_atom": -19.082, "crystal_system": "orthorhombic", "lattice_angstrom": [[2.0496, -8.2398, 0.0000], [2.0496, 8.2398, 0.0000], [0.0000, 0.0000, 4.0909]], "species": ["Ge", "Co", "Ge", "Ge", "Ho", "Co", "Ho", "Ge"], "frac_coords": [[0.5449, 0.4551, 0.2500], [0.3197, 0.6803, 0.7500], [0.7493, 0.2507, 0.7500], [0.4551, 0.5449, 0.7500], [0.1103, 0.8897, 0.7500], [0.6803, 0.3197, 0.2500], [0.8897, 0.1103, 0.2500], [0.2507, 0.7493, 0.2500]]}

(2)
{"formula": "CeSi2Pt2", "functional": "r2SCAN", "state": "optimized geometry", "total_energy_ev_per_atom": -31.459, "crystal_system": "tetragonal", "lattice_angstrom": [[-2.0610, 3.4767, 1.3957], [-2.7529, -0.3250, -3.2556], [-5.8040, -5.6369, 5.4707]], "species": ["Si", "Ce", "Si", "Si", "Pt", "Ce", "Pt", "Pt", "Si", "Pt"], "frac_coords": [[0.2500, 0.2500, 0.1300], [0.2500, 0.2500, 0.7444], [0.2500, 0.7500, 0.5000], [0.7500, 0.2500, 0.5000], [0.2500, 0.2500, 0.3790], [0.7500, 0.7500, 0.2556], [0.2500, 0.7500, 0.0000], [0.7500, 0.7500, 0.6210], [0.7500, 0.7500, 0.8700], [0.7500, 0.2500, 0.0000]]}

(3)
{"formula": "Y2O3", "functional": "r2SCAN", "state": "optimized geometry", "total_energy_ev_per_atom": -15.612, "crystal_system": "cubic", "lattice_angstrom": [[8.6613, 0.0000, -3.0622], [-4.3306, 7.5009, -3.0622], [0.0000, 0.0000, 9.1866]], "species": ["Y", "O", "Y", "O", "O", "O", "O", "O", "O", "O", "O", "O", "O", "O", "O", "Y", "Y", "O", "Y", "O", "O", "Y", "Y", "Y", "O", "O", "Y", "Y", "O", "Y", "Y", "Y", "O", "Y", "O", "Y", "O", "O", "O", "Y"], "frac_coords": [[0.0000, 0.0000, 0.5000], [0.7391, 0.2282, 0.2707], [0.5325, 0.7500, 0.2825], [0.2707, 0.7391, 0.2282], [0.2391, 0.9683, 0.5108], [0.5108, 0.2391, 0.9683], [0.0317, 0.4892, 0.7609], [0.5425, 0.5317, 0.7707], [0.0425, 0.2718, 0.0108], [0.2718, 0.0108, 0.0425], [0.2293, 0.4575, 0.4683], [0.7293, 0.2609, 0.7718], [0.5317, 0.7707, 0.5425], [0.2282, 0.2707, 0.7391], [0.7609, 0.0317, 0.4892], [0.2500, 0.2175, 0.9675], [0.5000, 0.0000, 0.0000], [0.0108, 0.0425, 0.2718], [0.5000, 0.5000, 0.5000], [0.7282, 0.9892, 0.9575], [0.4683, 0.2293, 0.4575], [0.7825, 0.0325, 0.7500], [0.4675, 0.2500, 0.7175], [0.0325, 0.7500, 0.7825], [0.7707, 0.5425, 0.5317], [0.2609, 0.7718, 0.7293], [0.2825, 0.5325, 0.7500], [0.2500, 0.7175, 0.4675], [0.9683, 0.5108, 0.2391], [0.7175, 0.4675, 0.2500], [0.2175, 0.9675, 0.2500], [0.0000, 0.5000, 0.0000], [0.9892, 0.9575, 0.7282], [0.9675, 0.2500, 0.2175], [0.7718, 0.7293, 0.2609], [0.7500, 0.2825, 0.5325], [0.4892, 0.7609, 0.0317], [0.4575, 0.4683, 0.2293], [0.9575, 0.7282, 0.9892], [0.7500, 0.7825, 0.0325]]}

(4)
{"formula": "CoAs2O6", "functional": "r2SCAN", "state": "optimized geometry", "total_energy_ev_per_atom": -10.059, "crystal_system": "trigonal", "lattice_angstrom": [[4.7900, 0.0000, 0.0000], [-2.3950, 4.1483, 0.0000], [0.0000, 0.0000, 4.4661]], "species": ["Co", "O", "As", "O", "O", "O", "As", "O", "O"], "frac_coords": [[0.0000, 0.0000, 0.0000], [0.6375, 0.6375, 0.2741], [0.6667, 0.3333, 0.5000], [0.0000, 0.3625, 0.2741], [0.0000, 0.6375, 0.7259], [0.6375, 0.0000, 0.7259], [0.3333, 0.6667, 0.5000], [0.3625, 0.3625, 0.7259], [0.3625, 0.0000, 0.2741]]}

(5)
{"formula": "Ca2Si", "functional": "r2SCAN", "state": "optimized geometry", "total_energy_ev_per_atom": -8.151, "crystal_system": "cubic", "lattice_angstrom": [[3.5852, 3.5852, 0.0000], [3.5852, 0.0000, -3.5852], [0.0000, 3.5852, -3.5852]], "species": ["Ca", "Ca", "Si"], "frac_coords": [[0.7500, 0.7500, 0.7500], [0.2500, 0.2500, 0.2500], [0.0000, 0.0000, 0.0000]]}

(6)
{"formula": "MgAl2S4", "functional": "r2SCAN", "state": "optimized geometry", "total_energy_ev_per_atom": -8.499, "crystal_system": "orthorhombic", "lattice_angstrom": [[-4.6558, 2.7930, -2.3530], [0.5701, -4.0654, -5.9537], [-7.6813, -8.5217, 5.0834]], "species": ["S", "Al", "S", "Al", "Al", "S", "S", "Al", "S", "Al", "S", "Al", "S", "S", "S", "S", "Mg", "Mg", "S", "Mg", "S", "S", "Al", "S", "S", "Mg", "Al", "S"], "frac_coords": [[0.2606, 0.4952, 0.3422], [0.5906, 0.7500, 0.0849], [0.7140, 0.2500, 0.4161], [0.0000, 0.0000, 0.0000], [0.0906, 0.2500, 0.4151], [0.2394, 0.4952, 0.8422], [0.7860, 0.2500, 0.9161], [0.5000, 0.0000, 0.5000], [0.7606, 0.9952, 0.1578], [0.4094, 0.2500, 0.9151], [0.2140, 0.7500, 0.0839], [0.9094, 0.7500, 0.5849], [0.7394, 0.5048, 0.6578], [0.7714, 0.7500, 0.9261], [0.2606, 0.0048, 0.3422], [0.7286, 0.7500, 0.4261], [0.9980, 0.2500, 0.7354], [0.5020, 0.2500, 0.2354], [0.2714, 0.2500, 0.5739], [0.0020, 0.7500, 0.2646], [0.7394, 0.9952, 0.6578], [0.2394, 0.0048, 0.8422], [0.5000, 0.5000, 0.5000], [0.7606, 0.5048, 0.1578], [0.2286, 0.2500, 0.0739], [0.4980, 0.7500, 0.7646], [0.0000, 0.5000, 0.0000], [0.2860, 0.7500, 0.5839]]}

(7)
{"formula": "InCl2", "functional": "r2SCAN", "state": "optimized geometry", "total_energy_ev_per_atom": -12.770, "crystal_system": "orthorhombic", "lattice_angstrom": [[4.8987, -4.0709, -4.3453], [-5.7531, -8.0411, 1.0474], [-5.0735, 2.5711, -8.1285]], "species": ["In", "In", "Cl", "Cl", "Cl", "In", "Cl", "Cl", "In", "Cl", "Cl", "Cl", "Cl", "Cl", "Cl", "In", "Cl", "In", "In", "Cl", "Cl", "In", "Cl", "Cl"], "frac_coords": [[0.7500, 0.8138, 0.0000], [0.6883, 0.2500, 0.2500], [0.5006, 0.8194, 0.4526], [0.9994, 0.8194, 0.5474], [0.5006, 0.6806, 0.0474], [0.7500, 0.6862, 0.5000], [0.3400, 0.4478, 0.3135], [0.1600, 0.0522, 0.8135], [0.2500, 0.1862, 0.0000], [0.6600, 0.9478, 0.8135], [0.8400, 0.9478, 0.1865], [0.4994, 0.3194, 0.9526], [0.0006, 0.3194, 0.0474], [0.8400, 0.5522, 0.3135], [0.3400, 0.0522, 0.1865], [0.3117, 0.7500, 0.7500], [0.6600, 0.5522, 0.6865], [0.2500, 0.3138, 0.5000], [0.8117, 0.2500, 0.7500], [0.0006, 0.1806, 0.4526], [0.4994, 0.1806, 0.5474], [0.1883, 0.7500, 0.2500], [0.9994, 0.6806, 0.9526], [0.1600, 0.4478, 0.6865]]}

(8)
{"formula": "ScGeRh", "functional": "r2SCAN", "state": "optimized geometry", "total_energy_ev_per_atom": -17.518, "crystal_system": "hexagonal", "lattice_angstrom": [[-2.1341, 1.9476, -2.5341], [-4.1725, 1.7877, 4.8879], [5.2524, 3.8395, -1.4724]], "species": ["Rh", "Sc", "Ge", "Ge", "Rh", "Sc", "Rh", "Ge", "Sc"], "frac_coords": [[0.0000, 0.7560, 0.7560], [0.5000, 0.4196, 0.4196], [0.0000, 0.3333, 0.6667], [0.0000, 0.6666, 0.3333], [0.0000, 0.0000, 0.2440], [0.5000, 0.5804, 0.0000], [0.0000, 0.2440, 0.0000], [0.5000, 0.0000, 0.0000], [0.5000, 0.0000, 0.5804]]}

(9)
{"formula": "PRhO4", "functional": "r2SCAN", "state": "optimized geometry", "total_energy_ev_per_atom": -11.247, "crystal_system": "orthorhombic", "lattice_angstrom": [[-3.2039, 5.2047, 6.5781], [3.2040, -5.2047, 6.5781], [3.2039, 5.2047, -6.5781]], "species": ["O", "P", "O", "O", "O", "O", "P", "O", "P", "Rh", "Rh", "O", "O", "O", "Rh", "O", "P", "O", "Rh", "P", "O", "O", "O", "O", "O", "O", "O", "O", "O", "O", "P", "O", "Rh", "Rh", "O", "O"], "frac_coords": [[0.1536, 0.2017, 0.0481], [0.7500, 0.8302, 0.0802], [0.5860, 0.8011, 0.6639], [0.8560, 0.2158, 0.0850], [0.6440, 0.7289, 0.3598], [0.1280, 0.0239, 0.6519], [0.8260, 0.3260, 0.0000], [0.3692, 0.7289, 0.0850], [0.3260, 0.3260, 0.5000], [0.6185, 0.1185, 0.0000], [0.1185, 0.1185, 0.5000], [0.6536, 0.6055, 0.9519], [0.3560, 0.2711, 0.6402], [0.3720, 0.0239, 0.8959], [0.5000, 0.5000, 0.0000], [0.6371, 0.4221, 0.3361], [0.6740, 0.6740, 0.5000], [0.0860, 0.4221, 0.7849], [0.8815, 0.8815, 0.5000], [0.1740, 0.6740, 0.0000], [0.6280, 0.9761, 0.1041], [0.8464, 0.7983, 0.9519], [0.8692, 0.7842, 0.6402], [0.6308, 0.2711, 0.9150], [0.1440, 0.7842, 0.9150], [0.3629, 0.5779, 0.6639], [0.3464, 0.3945, 0.0481], [0.1371, 0.8011, 0.2151], [0.1308, 0.2158, 0.3598], [0.9140, 0.5779, 0.2151], [0.2500, 0.1698, 0.9198], [0.8629, 0.1989, 0.7849], [0.3815, 0.8815, 0.0000], [0.0000, 0.0000, 0.0000], [0.8720, 0.9761, 0.3481], [0.4140, 0.1989, 0.3361]]}

(10)
{"formula": "Ta4CoNi", "functional": "r2SCAN", "state": "optimized geometry", "total_energy_ev_per_atom": -36.805, "crystal_system": "tetragonal", "lattice_angstrom": [[-3.0687, 3.0687, 2.4530], [3.0687, -3.0687, 2.4530], [3.0687, 3.0687, -2.4530]], "species": ["Ta", "Ta", "Ni", "Co", "Ta", "Ta"], "frac_coords": [[0.0898, 0.5898, 0.1796], [0.9102, 0.0898, 0.5000], [0.0000, 0.0000, 0.0000], [0.5000, 0.5000, 0.0000], [0.5898, 0.4102, 0.5000], [0.4102, 0.9102, 0.8204]]}

(11)
{"formula": "Tb2C3", "functional": "r2SCAN", "state": "optimized geometry", "total_energy_ev_per_atom": -18.871, "crystal_system": "cubic", "lattice_angstrom": [[-4.3857, 4.9412, -2.7484], [-2.4637, -6.5267, -1.5926], [0.3013, 0.7669, 7.1081]], "species": ["C", "C", "Tb", "C", "C", "Tb", "Tb", "C", "Tb", "Tb", "C", "Tb", "C", "C", "C", "Tb", "C", "C", "C", "Tb"], "frac_coords": [[0.7056, 0.4556, 0.2500], [0.2056, 0.7500, 0.9556], [0.3994, 0.5000, 0.0000], [0.2500, 0.7056, 0.4556], [0.0444, 0.7500, 0.7944], [0.0000, 0.8994, 0.5000], [0.5000, 0.0000, 0.3994], [0.2500, 0.5444, 0.2944], [0.0000, 0.3994, 0.5000], [0.5000, 0.0000, 0.8994], [0.2944, 0.2500, 0.5444], [0.1006, 0.1006, 0.1006], [0.5444, 0.2944, 0.2500], [0.4556, 0.2500, 0.7056], [0.9556, 0.2056, 0.7500], [0.8994, 0.5000, 0.0000], [0.7500, 0.9556, 0.2056], [0.7500, 0.7944, 0.0444], [0.7944, 0.0444, 0.7500], [0.6006, 0.6006, 0.6006]]}

(12)
{"formula": "LaTa7O19", "functional": "r2SCAN", "state": "optimized geometry", "total_energy_ev_per_atom": -21.119, "crystal_system": "hexagonal", "lattice_angstrom": [[3.5880, 3.7272, -3.5074], [-6.2024, 0.7716, 0.0444], [1.7013, 12.7937, 15.3360]], "species": ["O", "O", "O", "O", "Ta", "O", "La", "O", "O", "O", "O", "Ta", "O", "O", "Ta", "Ta", "Ta", "O", "Ta", "O", "O", "O", "O", "Ta", "Ta", "O", "La", "O", "O", "O", "O", "Ta", "O", "Ta", "Ta", "O", "O", "O", "Ta", "O", "Ta", "Ta", "O", "O", "O", "O", "O", "O", "O", "O", "O", "O", "O", "O"], "frac_coords": [[0.9126, 0.3330, 0.8463], [0.2479, 0.2900, 0.7500], [0.6118, 0.7094, 0.0573], [0.0000, 0.0000, 0.1326], [0.3085, 0.3350, 0.8437], [0.4203, 0.3330, 0.3463], [0.0000, 0.0000, 0.0000], [0.0420, 0.2902, 0.2500], [0.9126, 0.3330, 0.6537], [0.0976, 0.7093, 0.5574], [0.2907, 0.3882, 0.5574], [0.3085, 0.9736, 0.1562], [0.6670, 0.5796, 0.6537], [0.6670, 0.5796, 0.8463], [0.0264, 0.6915, 0.6563], [0.0264, 0.6915, 0.8437], [0.0264, 0.3349, 0.1562], [0.6670, 0.0873, 0.1536], [0.3085, 0.3349, 0.6563], [0.9127, 0.5797, 0.1536], [0.0000, 0.0000, 0.6326], [0.0000, 0.0000, 0.3674], [0.6118, 0.9024, 0.9426], [0.6651, 0.6915, 0.3438], [0.3333, 0.6667, 0.0000], [0.3333, 0.6667, 0.1680], [0.0000, 0.0000, 0.5000], [0.0976, 0.7093, 0.9426], [0.2906, 0.9025, 0.4427], [0.6670, 0.0873, 0.3463], [0.0975, 0.3882, 0.0573], [0.0264, 0.3349, 0.3438], [0.3333, 0.6667, 0.3320], [0.6650, 0.9736, 0.6563], [0.3085, 0.9736, 0.3438], [0.3333, 0.6667, 0.6681], [0.2481, 0.9580, 0.2500], [0.2907, 0.3882, 0.9426], [0.6650, 0.9736, 0.8437], [0.3333, 0.6667, 0.8319], [0.3333, 0.6667, 0.5000], [0.6651, 0.6915, 0.1562], [0.6118, 0.9024, 0.5574], [0.7100, 0.9579, 0.7500], [0.2906, 0.9025, 0.0573], [0.0421, 0.7521, 0.7500], [0.4203, 0.3330, 0.1536], [0.0000, 0.0000, 0.8674], [0.7098, 0.7519, 0.2500], [0.4204, 0.0874, 0.8463], [0.6118, 0.7094, 0.4427], [0.4204, 0.0874, 0.6537], [0.9127, 0.5797, 0.3463], [0.0975, 0.3882, 0.4427]]}

The records above yield magnetic moment values of 0.00, 1.85, 0.00, 3.00, 0.00, 0.00, 0.00, 0.00, 0.00, 0.00, 0.00, 0.00 μB per cell, respectively.